[1]
The following is a r2SCAN calculation of a relaxed structure of La3BWO9, from the Materials Project database.

```
La3BWO9
1.0
1.601 8.120 -3.120
-6.417 -4.926 -3.576
-3.679 2.133 3.663
La B W O
6 2 2 18
Direct
0.915 0.276 0.220 La
0.724 0.639 0.220 La
0.276 0.361 0.720 La
0.085 0.724 0.720 La
0.361 0.085 0.220 La
0.639 0.915 0.720 La
0.000 0.000 0.876 B
0.000 0.000 0.376 B
0.667 0.333 0.756 W
0.333 0.667 0.256 W
0.378 0.858 0.477 O
0.479 0.622 0.477 O
0.128 0.173 0.370 O
0.524 0.720 0.050 O
0.173 0.045 0.870 O
0.872 0.827 0.870 O
0.280 0.804 0.050 O
0.196 0.476 0.050 O
0.858 0.479 0.977 O
0.955 0.128 0.870 O
0.720 0.196 0.550 O
0.045 0.872 0.370 O
0.622 0.142 0.977 O
0.827 0.955 0.370 O
0.804 0.524 0.550 O
0.476 0.280 0.550 O
0.521 0.378 0.977 O
0.142 0.521 0.477 O
```

As for the space group: P6_3 (173).


[2]
The following is a r2SCAN calculation of a relaxed structure of La2Re3B7, from the Materials Project database.

```
La2Re3B7
1.0
-4.721 1.776 4.547
-5.417 -3.299 -4.335
1.632 -10.086 5.635
La Re B
8 12 28
Direct
0.764 0.823 0.822 La
0.236 0.677 0.822 La
0.236 0.323 0.678 La
0.764 0.177 0.678 La
0.236 0.177 0.178 La
0.764 0.323 0.178 La
0.764 0.677 0.322 La
0.236 0.823 0.322 La
0.605 0.591 0.581 Re
0.395 0.909 0.581 Re
0.395 0.091 0.919 Re
0.605 0.409 0.919 Re
0.395 0.409 0.419 Re
0.605 0.091 0.419 Re
0.605 0.909 0.081 Re
0.395 0.591 0.081 Re
0.000 0.750 0.568 Re
0.000 0.250 0.932 Re
0.000 0.250 0.432 Re
0.000 0.750 0.068 Re
0.896 0.533 0.959 B
0.104 0.967 0.959 B
0.104 0.033 0.541 B
0.896 0.467 0.541 B
0.104 0.467 0.041 B
0.896 0.033 0.041 B
0.896 0.967 0.459 B
0.104 0.533 0.459 B
0.877 0.540 0.683 B
0.123 0.960 0.683 B
0.123 0.040 0.817 B
0.877 0.460 0.817 B
0.123 0.460 0.317 B
0.877 0.040 0.317 B
0.877 0.960 0.183 B
0.123 0.540 0.183 B
0.697 0.871 0.538 B
0.303 0.629 0.538 B
0.303 0.371 0.962 B
0.697 0.129 0.962 B
0.303 0.129 0.462 B
0.697 0.371 0.462 B
0.697 0.629 0.038 B
0.303 0.871 0.038 B
0.633 0.500 0.750 B
0.367 0.000 0.750 B
0.367 0.500 0.250 B
0.633 0.000 0.250 B
```

As for the space group: Pcca (54).


[3]
The following is a r2SCAN calculation of a relaxed structure of La2B4Rh5, from the Materials Project database.

```
La2B4Rh5
1.0
-4.690 -2.627 1.260
-2.306 -3.543 -3.873
0.640 -5.609 2.782
La B Rh
2 4 5
Direct
0.143 0.000 0.715 La
0.857 0.000 0.285 La
0.208 0.325 0.259 B
0.792 0.675 0.741 B
0.467 0.325 0.741 B
0.533 0.675 0.259 B
0.250 0.500 0.500 Rh
0.500 0.500 0.000 Rh
0.500 0.000 0.000 Rh
0.000 0.500 0.000 Rh
0.750 0.500 0.500 Rh
```

As for the space group: Fmmm (69).


[4]
The following is a r2SCAN calculation of a relaxed structure of LaB2Rh3, from the Materials Project database.

```
LaB2Rh3
1.0
-2.937 1.356 -4.418
0.820 -5.273 1.230
-2.628 -0.001 1.747
La B Rh
1 2 3
Direct
0.000 0.000 0.000 La
0.333 0.667 0.000 B
0.667 0.333 0.000 B
0.500 0.000 0.500 Rh
0.500 0.500 0.500 Rh
0.000 0.500 0.500 Rh
```

As for the space group: P6/mmm (191).


[5]
The following is a r2SCAN calculation of a relaxed structure of LaB4Ru4, from the Materials Project database.

```
LaB4Ru4
1.0
3.994 0.000 0.000
0.000 7.565 0.000
0.000 0.000 7.565
La B Ru
2 8 8
Direct
0.250 0.750 0.750 La
0.750 0.250 0.250 La
0.858 0.038 0.916 B
0.358 0.084 0.538 B
0.142 0.962 0.084 B
0.642 0.916 0.462 B
0.642 0.584 0.038 B
0.142 0.538 0.416 B
0.358 0.416 0.962 B
0.858 0.462 0.584 B
0.358 0.357 0.606 Ru
0.858 0.106 0.643 Ru
0.142 0.894 0.357 Ru
0.642 0.643 0.394 Ru
0.642 0.857 0.106 Ru
0.142 0.606 0.143 Ru
0.358 0.143 0.894 Ru
0.858 0.394 0.857 Ru
```

As for the space group: P4_2/n (86).


[6]
The following is a r2SCAN calculation of a relaxed structure of LiB3, from the Materials Project database.

```
LiB3
1.0
1.624 3.668 1.030
-4.101 2.751 -3.329
-3.633 0.285 4.711
Li B
4 12
Direct
0.500 0.179 0.679 Li
0.500 0.821 0.321 Li
0.500 0.321 0.179 Li
0.500 0.679 0.821 Li
0.706 0.500 0.500 B
0.706 0.000 0.000 B
0.294 0.500 0.500 B
0.294 0.000 0.000 B
0.000 0.665 0.632 B
0.000 0.335 0.368 B
0.000 0.835 0.132 B
0.000 0.165 0.868 B
0.000 0.632 0.335 B
0.000 0.368 0.665 B
0.000 0.132 0.165 B
0.000 0.868 0.835 B
```

As for the space group: P4/mbm (127).


[7]
The following is a r2SCAN calculation of a relaxed structure of Li2Lu5B3O13, from the Materials Project database.

```
Li2Lu5B3O13
1.0
-2.672 -0.729 -2.059
4.995 -7.786 -3.726
-3.741 -12.009 9.104
Li Lu B O
4 10 6 26
Direct
0.250 0.386 0.053 Li
0.750 0.614 0.947 Li
0.250 0.748 0.755 Li
0.750 0.252 0.245 Li
0.250 0.856 0.001 Lu
0.750 0.144 0.999 Lu
0.250 0.361 0.564 Lu
0.750 0.639 0.436 Lu
0.250 0.478 0.303 Lu
0.750 0.522 0.697 Lu
0.250 0.188 0.794 Lu
0.750 0.812 0.206 Lu
0.250 0.963 0.370 Lu
0.750 0.037 0.630 Lu
0.250 0.789 0.576 B
0.750 0.211 0.424 B
0.250 0.093 0.182 B
0.750 0.907 0.818 B
0.250 0.589 0.111 B
0.750 0.411 0.889 B
0.250 0.457 0.164 O
0.750 0.543 0.836 O
0.250 0.154 0.251 O
0.750 0.846 0.749 O
0.250 0.513 0.432 O
0.750 0.487 0.568 O
0.250 0.705 0.148 O
0.750 0.295 0.852 O
0.250 0.766 0.491 O
0.750 0.234 0.509 O
0.250 0.621 0.019 O
0.750 0.379 0.981 O
0.250 0.151 0.656 O
0.750 0.849 0.344 O
0.250 0.080 0.937 O
0.750 0.920 0.063 O
0.250 0.168 0.094 O
0.750 0.832 0.906 O
0.250 0.948 0.208 O
0.750 0.052 0.792 O
0.250 0.391 0.705 O
0.750 0.609 0.295 O
0.250 0.923 0.585 O
0.750 0.077 0.415 O
0.250 0.678 0.652 O
0.750 0.322 0.348 O
```

As for the space group: P2_1/m (11).


[8]
The following is a r2SCAN calculation of a relaxed structure of Li3BN2, from the Materials Project database.

```
Li3BN2
1.0
-1.404 -3.115 -3.103
3.804 -2.494 0.781
-2.468 -2.598 3.724
Li B N
6 2 4
Direct
0.500 0.000 0.250 Li
0.500 0.000 0.750 Li
0.500 0.500 0.000 Li
0.000 0.000 0.500 Li
0.000 0.500 0.250 Li
0.000 0.500 0.750 Li
0.500 0.500 0.500 B
0.000 0.000 0.000 B
0.795 0.795 0.000 N
0.705 0.295 0.500 N
0.295 0.705 0.500 N
0.205 0.205 0.000 N
```

As for the space group: P4_2/mnm (136). For the polymorph energy (0 for the lowest one), the calculation gives 0.0045 eV per atom.


[9]
The following is a r2SCAN calculation of a relaxed structure of Li3BN2, from the Materials Project database.

```
Li3BN2
1.0
-6.964 0.788 -0.391
-0.540 -5.038 -0.527
-0.689 -3.176 5.860
Li B N
12 4 8
Direct
0.517 0.250 0.502 Li
0.017 0.750 0.998 Li
0.483 0.750 0.498 Li
0.983 0.250 0.002 Li
0.988 0.252 0.624 Li
0.488 0.748 0.876 Li
0.012 0.748 0.376 Li
0.512 0.252 0.124 Li
0.791 0.743 0.687 Li
0.291 0.257 0.813 Li
0.209 0.257 0.313 Li
0.709 0.743 0.187 Li
0.680 0.215 0.824 B
0.180 0.785 0.676 B
0.320 0.785 0.176 B
0.820 0.215 0.324 B
0.561 0.435 0.781 N
0.061 0.565 0.719 N
0.439 0.565 0.219 N
0.939 0.435 0.281 N
0.796 0.993 0.866 N
0.296 0.007 0.634 N
0.204 0.007 0.134 N
0.704 0.993 0.366 N
```

As for the space group: P2_1/c (14). For the polymorph energy (0 for the lowest one), the calculation gives 0.0000 eV per atom.


[10]
The following is a r2SCAN calculation of a relaxed structure of Li6NdB3O9, from the Materials Project database.

```
Li6NdB3O9
1.0
16.525 0.000 0.000
0.000 6.710 -0.010
0.000 1.917 6.997
Li Nd B O
24 4 12 36
Direct
0.003 0.325 0.072 Li
0.503 0.175 0.928 Li
0.997 0.675 0.928 Li
0.497 0.825 0.072 Li
0.971 0.829 0.548 Li
0.471 0.671 0.452 Li
0.029 0.171 0.452 Li
0.529 0.329 0.548 Li
0.705 0.630 0.711 Li
0.205 0.870 0.289 Li
0.295 0.370 0.289 Li
0.795 0.130 0.711 Li
0.965 0.556 0.306 Li
0.465 0.944 0.694 Li
0.035 0.444 0.694 Li
0.535 0.056 0.306 Li
0.797 0.552 0.444 Li
0.297 0.948 0.556 Li
0.203 0.448 0.556 Li
0.703 0.052 0.444 Li
0.550 0.582 0.859 Li
0.050 0.918 0.141 Li
0.450 0.418 0.141 Li
0.950 0.082 0.859 Li
0.811 0.348 0.080 Nd
0.311 0.152 0.920 Nd
0.189 0.652 0.920 Nd
0.689 0.848 0.080 Nd
0.887 0.187 0.444 B
0.387 0.313 0.556 B
0.113 0.813 0.556 B
0.613 0.687 0.444 B
0.618 0.003 0.708 B
0.118 0.497 0.292 B
0.382 0.997 0.292 B
0.882 0.503 0.708 B
0.634 0.339 0.082 B
0.134 0.161 0.918 B
0.366 0.661 0.918 B
0.866 0.839 0.082 B
0.925 0.076 0.607 O
0.425 0.424 0.393 O
0.075 0.924 0.393 O
0.575 0.576 0.607 O
0.805 0.221 0.430 O
0.305 0.279 0.570 O
0.195 0.779 0.570 O
0.695 0.721 0.430 O
0.566 0.771 0.281 O
0.066 0.729 0.719 O
0.434 0.229 0.719 O
0.934 0.271 0.281 O
0.586 0.090 0.533 O
0.086 0.410 0.467 O
0.414 0.910 0.467 O
0.914 0.590 0.533 O
0.800 0.449 0.732 O
0.300 0.051 0.268 O
0.200 0.551 0.268 O
0.700 0.949 0.732 O
0.571 0.960 0.873 O
0.071 0.540 0.127 O
0.429 0.040 0.127 O
0.929 0.460 0.873 O
0.552 0.325 0.081 O
0.052 0.175 0.919 O
0.448 0.675 0.919 O
0.948 0.825 0.081 O
0.682 0.169 0.159 O
0.182 0.331 0.841 O
0.318 0.831 0.841 O
0.818 0.669 0.159 O
0.827 0.024 0.996 O
0.327 0.476 0.004 O
0.173 0.976 0.004 O
0.673 0.524 0.996 O
```

As for the space group: P2_1/c (14).


[11]
The following is a r2SCAN calculation of a relaxed structure of Li3B7O12, from the Materials Project database.

```
Li3B7O12
1.0
6.490 -0.016 -0.011
-1.269 7.711 -0.064
-2.183 -0.604 8.204
Li B O
6 14 24
Direct
0.782 0.201 0.970 Li
0.218 0.799 0.030 Li
0.488 0.925 0.693 Li
0.512 0.075 0.307 Li
0.018 0.306 0.687 Li
0.982 0.694 0.313 Li
0.749 0.867 0.035 B
0.251 0.133 0.965 B
0.786 0.865 0.505 B
0.214 0.135 0.495 B
0.444 0.276 0.777 B
0.556 0.724 0.223 B
0.045 0.711 0.685 B
0.955 0.289 0.315 B
0.387 0.575 0.711 B
0.613 0.425 0.289 B
0.907 0.966 0.798 B
0.093 0.034 0.202 B
0.735 0.497 0.726 B
0.265 0.503 0.274 B
0.063 0.467 0.295 O
0.937 0.533 0.705 O
0.639 0.865 0.356 O
0.361 0.135 0.644 O
0.037 0.831 0.817 O
0.963 0.169 0.183 O
0.052 0.139 0.856 O
0.948 0.861 0.144 O
0.273 0.707 0.689 O
0.727 0.293 0.311 O
0.775 0.974 0.631 O
0.225 0.026 0.369 O
0.942 0.764 0.524 O
0.058 0.236 0.476 O
0.738 0.945 0.892 O
0.262 0.055 0.108 O
0.318 0.416 0.757 O
0.682 0.584 0.243 O
0.442 0.200 0.932 O
0.558 0.800 0.068 O
0.674 0.342 0.788 O
0.326 0.658 0.212 O
0.592 0.611 0.684 O
0.408 0.389 0.316 O
```

As for the space group: P-1 (2).


[12]
The following is a r2SCAN calculation of a relaxed structure of LiBO2, from the Materials Project database.

```
LiBO2
1.0
-0.364 4.175 1.199
-5.436 -0.957 1.685
4.301 -0.948 4.608
Li B O
4 4 8
Direct
0.788 0.566 0.652 Li
0.288 0.434 0.848 Li
0.212 0.434 0.348 Li
0.712 0.566 0.152 Li
0.323 0.874 0.726 B
0.823 0.126 0.774 B
0.677 0.126 0.274 B
0.177 0.874 0.226 B
0.642 0.914 0.739 O
0.142 0.086 0.761 O
0.358 0.086 0.261 O
0.858 0.914 0.239 O
0.223 0.642 0.679 O
0.723 0.358 0.821 O
0.777 0.358 0.321 O
0.277 0.642 0.179 O
```

As for the space group: P2_1/c (14).


| no. | calculated volume (Å³ per cell) | DFT formation energy (meV/atom) |
| --- | --- | --- |
| 1 | 380.28 | -3335 |
| 2 | 608.73 | -532 |
| 3 | 156.93 | -767 |
| 4 | 81.97 | -730 |
| 5 | 228.55 | -528 |
| 6 | 146.90 | -286 |
| 7 | 515.51 | -3416 |
| 8 | 110.10 | -1002 |
| 9 | 220.72 | -1007 |
| 10 | 776.22 | -2677 |
| 11 | 409.99 | -2614 |
| 12 | 146.98 | -2574 |